Record 1
First-principles (r²SCAN) data for crystalline Rb3FeO3 at its relaxed geometry, as listed in the Materials Project.

Values from the calculation:
formation energy from the elements: -1.5762 eV/atom
mass density: 4.270 Mg/m³
energy relative to the lowest polymorph listed for this composition: 0 meV/atom

Cell: 6.830 10.247 8.752 Å, 97.90 69.00 100.65°
Atoms (fractional coordinates):
1 O 0.792 0.057 0.792
2 O 0.690 0.425 0.159
3 O 0.625 0.625 0.473
4 O 0.310 0.575 0.841
5 O 0.875 0.875 0.027
6 O 0.375 0.375 0.527
7 O 0.708 0.443 0.708
8 O 0.208 0.943 0.208
9 O 0.125 0.125 0.973
10 O 0.292 0.557 0.292
11 O 0.190 0.925 0.659
12 O 0.810 0.075 0.341
13 Rb 0.467 0.844 0.344
14 Rb 0.033 0.656 0.156
15 Rb 0.603 0.132 0.132
16 Rb 0.397 0.868 0.868
17 Rb 0.861 0.861 0.514
18 Rb 0.103 0.632 0.632
19 Rb 0.967 0.344 0.844
20 Rb 0.139 0.139 0.486
21 Rb 0.639 0.639 0.986
22 Rb 0.533 0.156 0.656
23 Rb 0.897 0.368 0.368
24 Rb 0.361 0.361 0.014
25 Fe 0.991 0.991 0.847
26 Fe 0.491 0.491 0.347
27 Fe 0.509 0.509 0.653
28 Fe 0.009 0.009 0.153



Record 2
First-principles (r²SCAN) data for crystalline Te2Ir at its relaxed geometry, as listed in the Materials Project.

Values from the calculation:
formation energy from the elements: -0.3345 eV/atom
mass density: 9.883 Mg/m³

Cell: 3.993 6.814 14.602 Å, 97.23 92.43 106.85°
Atoms (fractional coordinates):
1 Te 0.022 0.164 0.114
2 Te 0.129 0.264 0.481
3 Te 0.281 0.692 0.087
4 Te 0.300 0.529 0.724
5 Te 0.450 0.949 0.317
6 Te 0.550 0.051 0.683
7 Te 0.700 0.471 0.276
8 Te 0.719 0.308 0.913
9 Te 0.871 0.736 0.519
10 Te 0.978 0.836 0.886
11 Ir 0.074 0.211 0.296
12 Ir 0.358 0.571 0.911
13 Ir 0.500 0.000 0.500
14 Ir 0.642 0.429 0.089
15 Ir 0.926 0.789 0.704



Record 3
First-principles (r²SCAN) data for crystalline YbPaO4 at its relaxed geometry, as listed in the Materials Project.

Values from the calculation:
formation energy from the elements: -4.0970 eV/atom
mass density: 10.402 Mg/m³

Cell: 6.505 6.505 6.505 Å, 131.90 131.90 70.39°
Atoms (fractional coordinates):
1 Yb 0.375 0.625 0.750
2 Yb 0.625 0.375 0.250
3 Pa 0.125 0.875 0.250
4 Pa 0.875 0.125 0.750
5 O 0.000 0.245 0.245
6 O 0.000 0.755 0.755
7 O 0.245 0.000 0.745
8 O 0.245 0.500 0.245
9 O 0.500 0.245 0.745
10 O 0.500 0.755 0.255
11 O 0.755 0.000 0.255
12 O 0.755 0.500 0.755



Record 4
First-principles (r²SCAN) data for crystalline Ta2TiW at its relaxed geometry, as listed in the Materials Project.

Values from the calculation:
formation energy from the elements: -0.0010 eV/atom
mass density: 14.404 Mg/m³

Cell: 4.591 4.591 4.591 Å, 60.00 60.00 60.00°
Atoms (fractional coordinates):
1 Ta 0.250 0.250 0.250
2 Ta 0.750 0.750 0.750
3 Ti 0.000 0.000 0.000
4 W 0.500 0.500 0.500



Record 5
First-principles (r²SCAN) data for crystalline Er5Si3 at its relaxed geometry, as listed in the Materials Project.

Values from the calculation:
formation energy from the elements: -0.7782 eV/atom
mass density: 8.125 Mg/m³

Cell: 8.322 8.322 6.274 Å, 90.00 90.00 120.00°
Atoms (fractional coordinates):
1 Er 0.000 0.242 0.250
2 Er 0.000 0.758 0.750
3 Er 0.242 0.000 0.250
4 Er 0.242 0.242 0.750
5 Er 0.333 0.667 0.000
6 Er 0.333 0.667 0.500
7 Er 0.667 0.333 0.000
8 Er 0.667 0.333 0.500
9 Er 0.758 0.000 0.750
10 Er 0.758 0.758 0.250
11 Si 0.000 0.394 0.750
12 Si 0.000 0.606 0.250
13 Si 0.394 0.000 0.750
14 Si 0.394 0.394 0.250
15 Si 0.606 0.000 0.250
16 Si 0.606 0.606 0.750



Record 6
First-principles (r²SCAN) data for crystalline Li2TiF6 at its relaxed geometry, as listed in the Materials Project.

Values from the calculation:
formation energy from the elements: -3.4865 eV/atom
mass density: 3.119 Mg/m³

Cell: 4.601 4.601 8.841 Å, 90.00 90.00 90.00°
Atoms (fractional coordinates):
1 Li 0.000 0.000 0.161
2 Li 0.000 0.000 0.839
3 Li 0.500 0.500 0.339
4 Li 0.500 0.500 0.661
5 Ti 0.000 0.000 0.500
6 Ti 0.500 0.500 0.000
7 F 0.196 0.196 0.344
8 F 0.196 0.196 0.656
9 F 0.211 0.211 0.000
10 F 0.289 0.711 0.500
11 F 0.304 0.696 0.156
12 F 0.304 0.696 0.844
13 F 0.696 0.304 0.156
14 F 0.696 0.304 0.844
15 F 0.711 0.289 0.500
16 F 0.789 0.789 0.000
17 F 0.804 0.804 0.344
18 F 0.804 0.804 0.656